DFT (GGA-PBE) results for a relaxed structure of Ba2B6PbO12.

Cell and atoms, written as extended XYZ:
```
42
Lattice="3.6408 2.1020 12.7587 -3.6408 2.1020 12.7587 0.0000 -4.2040 12.7587" Properties=species:S:1:pos:R:3 pbc="T T T"
Ba 0.0000 0.0000 5.6976
Ba 0.0000 0.0000 13.4404
Ba 0.0000 0.0000 24.8357
Ba 0.0000 0.0000 32.5785
B -0.9199 -3.1044 14.3111
B -3.1484 -0.7555 23.9650
B -0.9199 -1.0996 17.5857
B -2.2285 2.3489 14.3111
B -1.4123 0.2469 20.6904
B -0.4923 1.3465 17.5857
B 0.4923 -1.3465 20.6904
B 1.4123 -0.2469 17.5857
B 2.2285 -2.3489 23.9650
B 0.9199 1.0996 20.6905
B 3.1484 0.7555 14.3111
B 0.9199 3.1044 23.9650
Pb 0.0000 0.0000 9.5690
Pb 0.0000 0.0000 28.7071
O -1.9006 -0.0431 11.3180
O -1.7402 -2.1451 17.6974
O -2.7517 1.0338 14.3559
O -2.2711 -1.8662 23.9202
O -2.7278 0.4345 20.5788
O 0.4806 -2.8999 14.3559
O -1.3696 0.2359 17.5409
O 0.9876 -1.6244 11.3180
O -0.8891 -1.0682 20.7352
O 0.4806 -1.3041 17.5409
O -0.9130 -1.6675 26.9581
O 0.9876 -2.5796 20.5787
O -0.9876 2.5796 17.6973
O 0.9130 1.6675 11.3180
O -0.4806 1.3041 20.7352
O 0.8891 1.0682 17.5409
O -0.9876 1.6244 26.9581
O 1.3696 -0.2359 20.7352
O -0.4806 2.8999 23.9202
O 2.7278 -0.4345 17.6974
O 2.2711 1.8661 14.3559
O 2.7517 -1.0338 23.9202
O 1.7402 2.1451 20.5788
O 1.9006 0.0431 26.9581
```

Calculated values
E: -7.6063 eV per atom
volume: 585.8 Å³ per cell
symmetry: R-3c